# CuP2H18C6Cl, optimized geometry, DFT PBE
data_CuP2H18C6Cl
_chemical_formula_sum 'Cu8 P16 H144 C48 Cl8'
_symmetry_space_group_name_H-M 'P 21 3'
_symmetry_Int_Tables_number 198
_symmetry_space_group_name_Hall 'P 2ac 2ab 3'
_cell_length_a 14.0836
_cell_length_b 14.0836
_cell_length_c 14.0836
_cell_angle_alpha 90.00
_cell_angle_beta 90.00
_cell_angle_gamma 90.00
loop_
_atom_site_label
_atom_site_type_symbol
_atom_site_fract_x
_atom_site_fract_y
_atom_site_fract_z
Cu1 Cu 0.0436 0.0436 0.0436
Cu2 Cu 0.1340 0.6340 0.8660
P1 P 0.0267 0.5623 0.3107
P2 P 0.0502 0.4498 0.5502
H1 H 0.0001 0.4890 0.7118
H2 H 0.0202 0.6574 0.1656
H3 H 0.0233 0.8331 0.5725
H4 H 0.0271 0.2206 0.2344
H5 H 0.0416 0.9415 0.2917
H6 H 0.0494 0.1488 0.8042
H7 H 0.0601 0.3781 0.7070
H8 H 0.0602 0.8859 0.8316
H9 H 0.0629 0.3983 0.2665
H10 H 0.0957 0.1315 0.2907
H11 H 0.0967 0.2649 0.8218
H12 H 0.1596 0.6701 0.3369
C1 C 0.0081 0.4234 0.6705
C2 C 0.0232 0.1514 0.2700
C3 C 0.0310 0.4595 0.2306
C4 C 0.0978 0.1915 0.8479
Cl1 Cl 0.0479 0.5479 0.9521
Cl2 Cl 0.2202 0.7202 0.7798
# **Total moment**: 0.00 μB per atom

# CuH18C6Se2Cl4, optimized geometry, DFT PBE
data_CuH18C6Se2Cl4
_chemical_formula_sum 'Cu4 H72 C24 Se8 Cl16'
_symmetry_space_group_name_H-M 'P 1 21/c 1'
_symmetry_Int_Tables_number 14
_cell_length_a 12.4339
_cell_length_b 9.8172
_cell_length_c 15.9392
_cell_angle_alpha 90.00
_cell_angle_beta 107.77
_cell_angle_gamma 90.00
loop_
_symmetry_equiv_pos_as_xyz
'x,y,z'
'-x,-y,-z'
'-x,y+1/2,-z+1/2'
'x,-y+1/2,z+1/2'
loop_
_atom_site_label
_atom_site_type_symbol
_atom_site_fract_x
_atom_site_fract_y
_atom_site_fract_z
Cu1 Cu 0.2490 0.1737 0.1085
H1 H 0.0133 0.7396 0.0183
H2 H 0.0612 0.0314 0.3641
H3 H 0.0834 0.6880 0.3277
H4 H 0.1137 0.6255 0.0922
H5 H 0.1369 0.5810 0.2564
H6 H 0.1379 0.1204 0.2995
H7 H 0.1455 0.6929 0.5884
H8 H 0.1678 0.1583 0.4157
H9 H 0.1957 0.7497 0.2872
H10 H 0.3095 0.6031 0.9944
H11 H 0.3215 0.7130 0.5112
H12 H 0.3636 0.5609 0.1773
H13 H 0.3717 0.7461 0.1913
H14 H 0.3785 0.1645 0.8110
H15 H 0.3967 0.7016 0.9446
H16 H 0.4052 0.1407 0.9281
H17 H 0.4856 0.6385 0.2558
H18 H 0.4880 0.5904 0.6234
C1 C 0.0800 0.7296 0.0817
C2 C 0.1033 0.1259 0.3551
C3 C 0.1202 0.6855 0.2733
C4 C 0.3635 0.6930 0.0007
C5 C 0.4184 0.6508 0.1931
C6 C 0.4433 0.1609 0.8756
Se1 Se 0.0089 0.7290 0.6725
Se2 Se 0.4949 0.6552 0.1027
Cl1 Cl 0.1497 0.1719 0.6628
Cl2 Cl 0.2067 0.0415 0.9869
Cl3 Cl 0.2781 0.0080 0.2140
Cl4 Cl 0.3734 0.1815 0.5731
# **Total moment**: 0.03 μB per atom

# Cu6MoC20S4N5Cl9, optimized geometry, DFT PBE
data_Cu6MoC20S4N5Cl9
_chemical_formula_sum 'Cu24 Mo4 C80 S16 N20 Cl36'
_symmetry_space_group_name_H-M 'C m c 21'
_symmetry_Int_Tables_number 36
_cell_length_a 18.4482
_cell_length_b 10.5114
_cell_length_c 19.6038
_cell_angle_alpha 90.00
_cell_angle_beta 90.00
_cell_angle_gamma 90.00
loop_
_symmetry_equiv_pos_as_xyz
'x,y,z'
'-x,-y,z+1/2'
'-x,y,z'
'x,-y,z+1/2'
'x+1/2,y+1/2,z'
'-x+1/2,-y+1/2,z+1/2'
'-x+1/2,y+1/2,z'
'x+1/2,-y+1/2,z+1/2'
loop_
_atom_site_label
_atom_site_type_symbol
_atom_site_fract_x
_atom_site_fract_y
_atom_site_fract_z
Cu1 Cu 0.0000 0.2067 0.9996
Cu2 Cu 0.0000 0.2396 0.3572
Cu3 Cu 0.1028 0.1019 0.5000
Cu4 Cu 0.1202 0.1211 0.8580
Mo1 Mo 0.0000 0.0000 0.4197
C1 C 0.0000 0.2397 0.6886
C2 C 0.0000 0.3642 0.7266
C3 C 0.0501 0.3861 0.6679
C4 C 0.1150 0.4552 0.9207
C5 C 0.1186 0.1165 0.1771
C6 C 0.1620 0.5004 0.4781
C7 C 0.1676 0.2689 0.1793
C8 C 0.1697 0.3990 0.4252
C9 C 0.1740 0.1598 0.2282
C10 C 0.2140 0.4438 0.9280
C11 C 0.2180 0.1172 0.1686
S1 S 0.0000 0.0001 0.0359
S2 S 0.0000 0.2030 0.8825
S3 S 0.1007 0.1007 0.3827
N1 N 0.0000 0.3132 0.6235
N2 N 0.1638 0.1758 0.1226
N3 N 0.1709 0.4990 0.3716
Cl1 Cl 0.0000 0.3213 0.4614
Cl2 Cl 0.0000 0.3338 0.2621
Cl3 Cl 0.0000 0.3573 0.0695
Cl4 Cl 0.1607 0.1602 0.9622
Cl5 Cl 0.1667 0.1620 0.7621
Cl6 Cl 0.1759 0.1761 0.5713
# **Total moment**: 0.22 μB per atom

Number 1: V 12.5 A^3/atom, MP2020-corrected energy -5.0138 eV/atom. Number 2: V 14.9 A^3/atom, MP2020-corrected energy -4.6620 eV/atom. Number 3: V 21.1 A^3/atom, MP2020-corrected energy -5.4207 eV/atom.